[1]
# Ba2In2O5, relaxed, DFT PBE-GGA
# Total DFT energy (no corrections) in eV per atom: -5.771
# E (MP2020) in eV/atom: -6.1527
# Spin magnetization in μB/atom: 0.000
# DFT formation energy in meV/atom: -2366
data_Ba2In2O5
_chemical_formula_sum 'Ba2 In2 O5'
_cell_length_a 4.176
_cell_length_b 8.728
_cell_length_c 4.318
_cell_angle_alpha 90.00
_cell_angle_beta 90.00
_cell_angle_gamma 90.00
_symmetry_space_group_name_H-M 'P 1'
_symmetry_Int_Tables_number 1
loop_
_symmetry_equiv_pos_as_xyz
'x,y,z'
loop_
_atom_site_label
_atom_site_type_symbol
_atom_site_fract_x
_atom_site_fract_y
_atom_site_fract_z
_atom_site_occupancy
Ba1 Ba 0.000 0.219 0.000 1
Ba2 Ba 0.000 0.781 0.000 1
In1 In 0.500 0.000 0.510 1
In2 In 0.500 0.500 0.433 1
O1 O 0.000 0.000 0.490 1
O2 O 0.000 0.500 0.242 1
O3 O 0.500 0.000 0.008 1
O4 O 0.500 0.273 0.559 1
O5 O 0.500 0.727 0.559 1



[2]
# TiVN2, relaxed, DFT PBE-GGA
# Total DFT energy (no corrections) in eV per atom: -9.760
# E (MP2020) in eV/atom: -9.9410
# Spin magnetization in μB/atom: 0.005
# DFT formation energy in meV/atom: -1528
data_TiVN2
_chemical_formula_sum 'Ti1 V1 N2'
_cell_length_a 5.113
_cell_length_b 5.113
_cell_length_c 5.113
_cell_angle_alpha 33.71
_cell_angle_beta 33.71
_cell_angle_gamma 33.71
_symmetry_space_group_name_H-M 'P 1'
_symmetry_Int_Tables_number 1
loop_
_symmetry_equiv_pos_as_xyz
'x,y,z'
loop_
_atom_site_label
_atom_site_type_symbol
_atom_site_fract_x
_atom_site_fract_y
_atom_site_fract_z
_atom_site_occupancy
Ti1 Ti 0.000 0.000 0.000 1
V1 V 0.500 0.500 0.500 1
N1 N 0.249 0.249 0.249 1
N2 N 0.751 0.751 0.751 1



[3]
# ZrTi2, relaxed, DFT PBE-GGA
# Total DFT energy (no corrections) in eV per atom: -8.080
# DFT formation energy in meV/atom: 33
data_ZrTi2
_chemical_formula_sum 'Zr1 Ti2'
_cell_length_a 4.732
_cell_length_b 4.732
_cell_length_c 3.004
_cell_angle_alpha 90.00
_cell_angle_beta 90.00
_cell_angle_gamma 120.00
_symmetry_space_group_name_H-M 'P 1'
_symmetry_Int_Tables_number 1
loop_
_symmetry_equiv_pos_as_xyz
'x,y,z'
loop_
_atom_site_label
_atom_site_type_symbol
_atom_site_fract_x
_atom_site_fract_y
_atom_site_fract_z
_atom_site_occupancy
Zr1 Zr 0.000 0.000 0.000 1
Ti1 Ti 0.333 0.667 0.500 1
Ti2 Ti 0.667 0.333 0.500 1



[4]
# KInO3, relaxed, DFT PBE-GGA
# Total DFT energy (no corrections) in eV per atom: -4.609
# E (MP2020) in eV/atom: -5.0216
# Spin magnetization in μB/atom: 0.400
# DFT formation energy in meV/atom: -1280
data_KInO3
_chemical_formula_sum 'K1 In1 O3'
_cell_length_a 4.308
_cell_length_b 4.308
_cell_length_c 4.308
_cell_angle_alpha 90.00
_cell_angle_beta 90.00
_cell_angle_gamma 90.00
_symmetry_space_group_name_H-M 'P 1'
_symmetry_Int_Tables_number 1
loop_
_symmetry_equiv_pos_as_xyz
'x,y,z'
loop_
_atom_site_label
_atom_site_type_symbol
_atom_site_fract_x
_atom_site_fract_y
_atom_site_fract_z
_atom_site_occupancy
K1 K 0.000 0.000 0.000 1
In1 In 0.500 0.500 0.500 1
O1 O 0.000 0.500 0.500 1
O2 O 0.500 0.000 0.500 1
O3 O 0.500 0.500 0.000 1



[5]
# ErCo5Si3, relaxed, DFT PBE-GGA
# Total DFT energy (no corrections) in eV per atom: -6.885
# E (MP2020) in eV/atom: -6.8618
# Spin magnetization in μB/atom: 0.001
# DFT formation energy in meV/atom: -597
data_ErCo5Si3
_chemical_formula_sum 'Er6 Co30 Si18'
_cell_length_a 14.627
_cell_length_b 14.627
_cell_length_c 3.662
_cell_angle_alpha 90.00
_cell_angle_beta 90.00
_cell_angle_gamma 120.00
_symmetry_space_group_name_H-M 'P 1'
_symmetry_Int_Tables_number 1
loop_
_symmetry_equiv_pos_as_xyz
'x,y,z'
loop_
_atom_site_label
_atom_site_type_symbol
_atom_site_fract_x
_atom_site_fract_y
_atom_site_fract_z
_atom_site_occupancy
Er1 Er 0.101 0.395 0.250 1
Er2 Er 0.294 0.899 0.250 1
Er3 Er 0.395 0.294 0.750 1
Er4 Er 0.605 0.706 0.250 1
Er5 Er 0.706 0.101 0.750 1
Er6 Er 0.899 0.605 0.750 1
Co1 Co 0.028 0.129 0.250 1
Co2 Co 0.049 0.781 0.250 1
Co3 Co 0.074 0.541 0.750 1
Co4 Co 0.100 0.972 0.250 1
Co5 Co 0.129 0.100 0.750 1
Co6 Co 0.148 0.735 0.750 1
Co7 Co 0.219 0.268 0.250 1
Co8 Co 0.225 0.653 0.250 1
Co9 Co 0.265 0.414 0.750 1
Co10 Co 0.268 0.049 0.750 1
Co11 Co 0.347 0.572 0.250 1
Co12 Co 0.414 0.148 0.250 1
Co13 Co 0.428 0.775 0.250 1
Co14 Co 0.459 0.534 0.750 1
Co15 Co 0.466 0.926 0.750 1
Co16 Co 0.534 0.074 0.250 1
Co17 Co 0.541 0.466 0.250 1
Co18 Co 0.572 0.225 0.750 1
Co19 Co 0.586 0.852 0.750 1
Co20 Co 0.653 0.428 0.750 1
Co21 Co 0.732 0.951 0.250 1
Co22 Co 0.735 0.586 0.250 1
Co23 Co 0.775 0.347 0.750 1
Co24 Co 0.781 0.732 0.750 1
Co25 Co 0.852 0.265 0.250 1
Co26 Co 0.871 0.900 0.250 1
Co27 Co 0.900 0.028 0.750 1
Co28 Co 0.926 0.459 0.250 1
Co29 Co 0.951 0.219 0.750 1
Co30 Co 0.972 0.871 0.750 1
Si1 Si 0.062 0.630 0.250 1
Si2 Si 0.117 0.248 0.750 1
Si3 Si 0.131 0.883 0.750 1
Si4 Si 0.239 0.557 0.750 1
Si5 Si 0.248 0.131 0.250 1
Si6 Si 0.318 0.761 0.750 1
Si7 Si 0.370 0.432 0.250 1
Si8 Si 0.432 0.062 0.750 1
Si9 Si 0.443 0.682 0.750 1
Si10 Si 0.557 0.318 0.250 1
Si11 Si 0.568 0.938 0.250 1
Si12 Si 0.630 0.568 0.750 1
Si13 Si 0.682 0.239 0.250 1
Si14 Si 0.752 0.869 0.750 1
Si15 Si 0.761 0.443 0.250 1
Si16 Si 0.869 0.117 0.250 1
Si17 Si 0.883 0.752 0.250 1
Si18 Si 0.938 0.370 0.750 1



[6]
# Na4ZrSi3GeO12, relaxed, DFT PBE-GGA
# Total DFT energy (no corrections) in eV per atom: -6.927
# E (MP2020) in eV/atom: -7.3198
# Spin magnetization in μB/atom: 0.000
# DFT formation energy in meV/atom: -2838
data_Na4ZrSi3GeO12
_chemical_formula_sum 'Na24 Zr6 Si18 Ge6 O72'
_cell_length_a 9.021
_cell_length_b 9.021
_cell_length_c 22.173
_cell_angle_alpha 90.00
_cell_angle_beta 90.00
_cell_angle_gamma 120.00
_symmetry_space_group_name_H-M 'P 1'
_symmetry_Int_Tables_number 1
loop_
_symmetry_equiv_pos_as_xyz
'x,y,z'
loop_
_atom_site_label
_atom_site_type_symbol
_atom_site_fract_x
_atom_site_fract_y
_atom_site_fract_z
_atom_site_occupancy
Na1 Na 0.000 0.000 0.080 1
Na2 Na 0.000 0.000 0.589 1
Na3 Na 0.000 0.634 0.335 1
Na4 Na 0.037 0.335 0.166 1
Na5 Na 0.039 0.707 0.669 1
Na6 Na 0.293 0.333 0.669 1
Na7 Na 0.298 0.963 0.166 1
Na8 Na 0.333 0.303 0.000 1
Na9 Na 0.333 0.667 0.251 1
Na10 Na 0.333 0.667 0.749 1
Na11 Na 0.336 0.037 0.505 1
Na12 Na 0.366 0.366 0.335 1
Na13 Na 0.375 0.001 0.832 1
Na14 Na 0.627 0.625 0.832 1
Na15 Na 0.634 0.000 0.335 1
Na16 Na 0.665 0.702 0.166 1
Na17 Na 0.667 0.333 0.421 1
Na18 Na 0.667 0.333 0.917 1
Na19 Na 0.667 0.961 0.669 1
Na20 Na 0.697 0.030 0.000 1
Na21 Na 0.702 0.664 0.505 1
Na22 Na 0.963 0.298 0.505 1
Na23 Na 0.970 0.667 0.000 1
Na24 Na 0.999 0.373 0.832 1
Zr1 Zr 0.000 0.000 0.229 1
Zr2 Zr 0.000 0.000 0.442 1
Zr3 Zr 0.333 0.667 0.099 1
Zr4 Zr 0.333 0.667 0.403 1
Zr5 Zr 0.333 0.667 0.897 1
Zr6 Zr 0.667 0.333 0.270 1
Si1 Si 0.001 0.296 0.335 1
Si2 Si 0.028 0.360 0.999 1
Si3 Si 0.037 0.657 0.509 1
Si4 Si 0.285 0.278 0.831 1
Si5 Si 0.295 0.999 0.335 1
Si6 Si 0.333 0.972 0.999 1
Si7 Si 0.343 0.380 0.509 1
Si8 Si 0.380 0.047 0.669 1
Si9 Si 0.380 0.334 0.163 1
Si10 Si 0.620 0.963 0.509 1
Si11 Si 0.640 0.667 0.999 1
Si12 Si 0.666 0.046 0.163 1
Si13 Si 0.667 0.620 0.669 1
Si14 Si 0.704 0.705 0.335 1
Si15 Si 0.722 0.008 0.831 1
Si16 Si 0.953 0.333 0.669 1
Si17 Si 0.954 0.620 0.163 1
Si18 Si 0.992 0.715 0.831 1
Ge1 Ge 0.000 0.000 0.730 1
Ge2 Ge 0.000 0.000 0.934 1
Ge3 Ge 0.333 0.667 0.607 1
Ge4 Ge 0.667 0.333 0.063 1
Ge5 Ge 0.667 0.333 0.569 1
Ge6 Ge 0.667 0.333 0.770 1
O1 O 0.015 0.173 0.991 1
O2 O 0.019 0.828 0.505 1
O3 O 0.028 0.209 0.275 1
O4 O 0.032 0.837 0.771 1
O5 O 0.114 0.622 0.447 1
O6 O 0.117 0.489 0.942 1
O7 O 0.144 0.641 0.161 1
O8 O 0.147 0.507 0.664 1
O9 O 0.152 0.443 0.058 1
O10 O 0.158 0.985 0.991 1
O11 O 0.163 0.195 0.771 1
O12 O 0.163 0.694 0.836 1
O13 O 0.169 0.697 0.566 1
O14 O 0.172 0.191 0.505 1
O15 O 0.173 0.483 0.338 1
O16 O 0.181 0.972 0.275 1
O17 O 0.186 0.026 0.673 1
O18 O 0.191 0.162 0.165 1
O19 O 0.200 0.160 0.892 1
O20 O 0.205 0.025 0.395 1
O21 O 0.292 0.848 0.058 1
O22 O 0.303 0.473 0.566 1
O23 O 0.306 0.470 0.836 1
O24 O 0.310 0.827 0.338 1
O25 O 0.359 0.504 0.161 1
O26 O 0.360 0.853 0.664 1
O27 O 0.373 0.883 0.942 1
O28 O 0.378 0.492 0.447 1
O29 O 0.465 0.172 0.610 1
O30 O 0.475 0.307 0.105 1
O31 O 0.479 0.298 0.827 1
O32 O 0.482 0.169 0.334 1
O33 O 0.486 0.364 0.226 1
O34 O 0.493 0.640 0.664 1
O35 O 0.496 0.856 0.161 1
O36 O 0.506 0.131 0.728 1
O37 O 0.506 0.160 0.006 1
O38 O 0.508 0.886 0.447 1
O39 O 0.511 0.627 0.942 1
O40 O 0.516 0.363 0.513 1
O41 O 0.517 0.690 0.338 1
O42 O 0.527 0.831 0.566 1
O43 O 0.530 0.837 0.836 1
O44 O 0.557 0.708 0.058 1
O45 O 0.625 0.494 0.728 1
O46 O 0.636 0.122 0.226 1
O47 O 0.637 0.153 0.513 1
O48 O 0.654 0.494 0.006 1
O49 O 0.687 0.518 0.334 1
O50 O 0.693 0.168 0.105 1
O51 O 0.702 0.181 0.827 1
O52 O 0.707 0.535 0.610 1
O53 O 0.791 0.819 0.275 1
O54 O 0.805 0.968 0.771 1
O55 O 0.809 0.981 0.505 1
O56 O 0.819 0.521 0.827 1
O57 O 0.820 0.795 0.395 1
O58 O 0.827 0.842 0.991 1
O59 O 0.828 0.293 0.610 1
O60 O 0.831 0.313 0.334 1
O61 O 0.832 0.525 0.105 1
O62 O 0.838 0.029 0.165 1
O63 O 0.840 0.040 0.892 1
O64 O 0.840 0.346 0.006 1
O65 O 0.840 0.814 0.673 1
O66 O 0.847 0.484 0.513 1
O67 O 0.869 0.375 0.728 1
O68 O 0.878 0.514 0.226 1
O69 O 0.960 0.800 0.892 1
O70 O 0.971 0.809 0.165 1
O71 O 0.974 0.160 0.673 1
O72 O 0.975 0.180 0.395 1



Repeat the fourth record exactly.
# KInO3, relaxed, DFT PBE-GGA
# Total DFT energy (no corrections) in eV per atom: -4.609
# E (MP2020) in eV/atom: -5.0216
# Spin magnetization in μB/atom: 0.400
# DFT formation energy in meV/atom: -1280
data_KInO3
_chemical_formula_sum 'K1 In1 O3'
_cell_length_a 4.308
_cell_length_b 4.308
_cell_length_c 4.308
_cell_angle_alpha 90.00
_cell_angle_beta 90.00
_cell_angle_gamma 90.00
_symmetry_space_group_name_H-M 'P 1'
_symmetry_Int_Tables_number 1
loop_
_symmetry_equiv_pos_as_xyz
'x,y,z'
loop_
_atom_site_label
_atom_site_type_symbol
_atom_site_fract_x
_atom_site_fract_y
_atom_site_fract_z
_atom_site_occupancy
K1 K 0.000 0.000 0.000 1
In1 In 0.500 0.500 0.500 1
O1 O 0.000 0.500 0.500 1
O2 O 0.500 0.000 0.500 1
O3 O 0.500 0.500 0.000 1